First-principles (PBE-GGA) data for SrMg2 after structural relaxation, as listed in Materials Project.

Cell and atoms, written as CIF:
```
data_SrMg2
_symmetry_space_group_name_H-M 'P 1'
_symmetry_Int_Tables_number 1
_symmetry_space_group_name_Hall 'P 1'
_cell_length_a 6.1082
_cell_length_b 6.1082
_cell_length_c 5.6994
_cell_angle_alpha 90.00
_cell_angle_beta 90.00
_cell_angle_gamma 119.00
loop_
_atom_site_label
_atom_site_type_symbol
_atom_site_fract_x
_atom_site_fract_y
_atom_site_fract_z
_atom_site_occupancy
Sr1 Sr 0.6870 0.6870 0.7500 1
Sr2 Sr 0.3130 0.3130 0.2500 1
Mg1 Mg 0.9852 0.3328 0.7500 1
Mg2 Mg 0.3328 0.9852 0.7500 1
Mg3 Mg 0.6672 0.0148 0.2500 1
Mg4 Mg 0.0148 0.6672 0.2500 1
```

Values from the calculation:
Calculated formation energy: 0.01 eV per atom
Space-group type: No. 63
E: -1.62 eV/atom